# 1
The following is a GGA+U calculation of a geometry-optimized LiTiFe5O8 structure, from Materials Project.

POSCAR file:
```
LiTiFe5O8
1.0
6.1395 -0.5321 0.0350
-2.5991 5.6494 -0.3934
3.2404 1.9477 4.9554
Li Ti Fe O
1 1 5 8
Direct
0.7693 0.1128 0.0824
0.4764 0.0024 0.5477
0.2333 0.1129 0.1486
0.7505 0.8494 0.8461
0.4909 0.4998 0.4929
0.0227 0.5468 0.0005
0.0165 0.4994 0.4927
0.9790 0.7317 0.2746
0.9670 0.2339 0.2595
0.4818 0.2215 0.7580
0.5100 0.2336 0.2592
0.0229 0.2793 0.7337
0.0525 0.7680 0.7200
0.5040 0.7656 0.2583
0.4941 0.7678 0.7196
```

Summary:
Crystal system   triclinic
DFT total energy   -6.8503 eV per atom
Formation enthalpy at 0 K   -27.79 eV per formula unit
Theoretical density   4.52 g/cm³
Space group   P1 (1)

# 2
The following is a GGA+U calculation of a geometry-optimized LiCrB2O5 structure, from Materials Project.

POSCAR file:
```
LiCrB2O5
1.0
-1.5080 5.6024 7.6269
-3.2957 -3.9768 2.2696
4.0937 -4.1054 3.8251
Li Cr B O
4 4 8 20
Direct
0.4373 0.6772 0.7855
0.0627 0.1772 0.7855
0.9373 0.8228 0.2145
0.5627 0.3228 0.2145
0.8268 0.7848 0.7541
0.6732 0.2848 0.7541
0.3268 0.7152 0.2459
0.1732 0.2152 0.2459
0.1147 0.6710 0.9134
0.3853 0.1710 0.9134
0.0879 0.7388 0.5480
0.5879 0.7612 0.4520
0.4121 0.2388 0.5480
0.9121 0.2612 0.4520
0.6147 0.8290 0.0866
0.8853 0.3290 0.0866
0.7007 0.9282 0.9246
0.9947 0.7937 0.9290
0.7993 0.4282 0.9246
0.5053 0.2937 0.9290
0.1629 0.6474 0.7293
0.6614 0.6653 0.6278
0.3371 0.1474 0.7293
0.9469 0.7368 0.5371
0.8386 0.1653 0.6278
0.4469 0.7632 0.4629
0.5531 0.2368 0.5371
0.1614 0.8347 0.3722
0.0531 0.2632 0.4629
0.6629 0.8526 0.2707
0.3386 0.3347 0.3722
0.8371 0.3526 0.2707
0.4947 0.7063 0.0710
0.2007 0.5718 0.0754
0.0053 0.2063 0.0710
0.2993 0.0718 0.0754
```

Summary:
Crystal system   monoclinic
DFT total energy   -7.5481 eV per atom
Formation enthalpy at 0 K   -23.71 eV per formula unit
Theoretical density   2.97 g/cm³
Space group   P2_1/c (14)

# 3
The following is a GGA+U calculation of a geometry-optimized KCaPrWO6 structure, from Materials Project.

POSCAR file:
```
KCaPrWO6
1.0
5.5616 1.9221 0.2542
1.8019 4.2882 -3.6131
1.1683 5.3600 2.1437
K Ca Pr W O
1 1 1 1 6
Direct
0.7500 0.7500 0.7500
0.0000 0.0000 0.0000
0.2500 0.2500 0.2500
0.5000 0.5000 0.5000
0.7328 0.2672 0.2672
0.2672 0.7328 0.7328
0.7328 0.2672 0.7328
0.2672 0.7328 0.2672
0.7328 0.7328 0.2672
0.2672 0.2672 0.7328
```

Summary:
Crystal system   cubic
DFT total energy   -6.9448 eV per atom
Formation enthalpy at 0 K   -27.47 eV per formula unit
Theoretical density   5.75 g/cm³
Space group   F-43m (216)

# 4
The following is a GGA+U calculation of a geometry-optimized Mg14CrSiO16 structure, from Materials Project.

POSCAR file:
```
Mg14CrSiO16
1.0
8.7099 0.0000 0.0000
0.0000 8.5484 0.0000
0.0000 0.0000 4.2866
Mg Cr Si O
14 1 1 16
Direct
0.5000 0.0000 0.0000
0.5000 0.5000 0.0000
0.0000 0.2517 0.5000
0.0000 0.7483 0.5000
0.5000 0.2505 0.5000
0.5000 0.7495 0.5000
0.2540 0.0000 0.5000
0.2536 0.5000 0.5000
0.7460 0.0000 0.5000
0.7464 0.5000 0.5000
0.2541 0.2519 0.0000
0.2541 0.7481 0.0000
0.7459 0.2519 0.0000
0.7459 0.7481 0.0000
0.0000 0.5000 0.0000
0.0000 0.0000 0.0000
0.2611 0.0000 0.0000
0.2652 0.5000 0.0000
0.7389 0.0000 0.0000
0.7348 0.5000 0.0000
0.2483 0.2495 0.5000
0.2483 0.7505 0.5000
0.7517 0.2495 0.5000
0.7517 0.7505 0.5000
0.0000 0.0000 0.5000
0.0000 0.5000 0.5000
0.5000 0.0000 0.5000
0.5000 0.5000 0.5000
0.0000 0.2574 0.0000
0.0000 0.7426 0.0000
0.5000 0.2486 0.0000
0.5000 0.7514 0.0000
```

Summary:
Crystal system   orthorhombic
DFT total energy   -6.0427 eV per atom
Formation enthalpy at 0 K   -89.71 eV per formula unit
Theoretical density   3.52 g/cm³
Space group   Pmmm (47)

# 5
The following is a GGA+U calculation of a geometry-optimized CoP2O7 structure, from Materials Project.

POSCAR file:
```
CoP2O7
1.0
-0.6914 6.2168 5.2128
-1.8458 -3.0677 3.4137
5.3230 -2.6258 3.8375
Co P O
2 4 14
Direct
0.0088 0.2118 0.2785
0.5088 0.7882 0.7215
0.7803 0.7724 0.0893
0.6842 0.3921 0.4807
0.2803 0.2276 0.9107
0.1842 0.6079 0.5193
0.3551 0.7335 0.5190
0.8551 0.2665 0.4810
0.6477 0.5950 0.2543
0.8392 0.0263 0.1467
0.6743 0.5656 0.6231
0.1477 0.4050 0.7457
0.0499 0.8381 0.4739
0.5499 0.1619 0.5261
0.9292 0.5759 0.0921
0.6891 0.8569 0.8926
0.1743 0.4344 0.3769
0.3392 0.9737 0.8533
0.1891 0.1431 0.1074
0.4292 0.4241 0.9079
```

Summary:
Crystal system   monoclinic
DFT total energy   -6.6715 eV per atom
Formation enthalpy at 0 K   -20.59 eV per formula unit
Theoretical density   2.87 g/cm³
Space group   P2_1 (4)

# 6
The following is a GGA+U calculation of a geometry-optimized Mg3Mn3B2O10 structure, from Materials Project.

POSCAR file:
```
Mg3Mn3B2O10
1.0
-4.7337 2.0484 3.2355
0.9481 -3.8494 3.8241
6.7866 6.0460 6.1017
Mg Mn B O
6 6 4 20
Direct
0.0000 0.0000 0.0000
0.2500 0.7948 0.7741
0.7500 0.2052 0.2259
0.5000 0.0000 0.0000
0.2500 0.5036 0.5006
0.7500 0.4964 0.4994
0.7500 0.7971 0.7716
0.2500 0.2029 0.2284
0.5000 0.5000 0.0000
0.5000 0.0000 0.5000
0.0000 0.0000 0.5000
0.0000 0.5000 0.0000
0.0040 0.3019 0.7361
0.9960 0.6981 0.2639
0.5040 0.6981 0.2639
0.4960 0.3019 0.7361
0.2500 0.1790 0.4121
0.5066 0.4884 0.2026
0.4937 0.0698 0.8024
0.0066 0.5116 0.7974
0.7500 0.7498 0.9672
0.2500 0.7494 0.9716
0.9998 0.6730 0.3910
0.0002 0.3270 0.6090
0.0063 0.0698 0.8024
0.7500 0.1736 0.4120
0.2500 0.2502 0.0328
0.9934 0.4884 0.2026
0.4998 0.3270 0.6090
0.5002 0.6730 0.3910
0.7500 0.2506 0.0284
0.2500 0.8264 0.5880
0.9937 0.9302 0.1976
0.5063 0.9302 0.1976
0.7500 0.8210 0.5879
0.4934 0.5116 0.7974
```

Summary:
Crystal system   monoclinic
DFT total energy   -7.2616 eV per atom
Formation enthalpy at 0 K   -47.46 eV per formula unit
Theoretical density   3.82 g/cm³
Space group   P2_1/m (11)

Copy entry 5 word for word.
The following is a GGA+U calculation of a geometry-optimized CoP2O7 structure, from Materials Project.

POSCAR file:
```
CoP2O7
1.0
-0.6914 6.2168 5.2128
-1.8458 -3.0677 3.4137
5.3230 -2.6258 3.8375
Co P O
2 4 14
Direct
0.0088 0.2118 0.2785
0.5088 0.7882 0.7215
0.7803 0.7724 0.0893
0.6842 0.3921 0.4807
0.2803 0.2276 0.9107
0.1842 0.6079 0.5193
0.3551 0.7335 0.5190
0.8551 0.2665 0.4810
0.6477 0.5950 0.2543
0.8392 0.0263 0.1467
0.6743 0.5656 0.6231
0.1477 0.4050 0.7457
0.0499 0.8381 0.4739
0.5499 0.1619 0.5261
0.9292 0.5759 0.0921
0.6891 0.8569 0.8926
0.1743 0.4344 0.3769
0.3392 0.9737 0.8533
0.1891 0.1431 0.1074
0.4292 0.4241 0.9079
```

Summary:
Crystal system   monoclinic
DFT total energy   -6.6715 eV per atom
Formation enthalpy at 0 K   -20.59 eV per formula unit
Theoretical density   2.87 g/cm³
Space group   P2_1 (4)